CuMo3O11 PBE with a Hubbard U relaxed; space-group type = Pnma (62); calculated volume = 926.96 Å³/cell
1.0
8.751 0.000 0.000
0.000 7.701 0.000
0.000 0.000 13.755
Cu Mo O
4 12 44
Direct
0.054 0.250 0.154
0.446 0.750 0.654
0.554 0.250 0.346
0.946 0.750 0.846
0.135 0.001 0.602
0.135 0.499 0.602
0.172 0.250 0.404
0.328 0.750 0.904
0.365 0.501 0.102
0.365 0.999 0.102
0.635 0.001 0.898
0.635 0.499 0.898
0.672 0.250 0.096
0.828 0.750 0.596
0.865 0.501 0.398
0.865 0.999 0.398
0.082 0.750 0.591
0.098 0.031 0.723
0.098 0.469 0.723
0.113 0.016 0.435
0.113 0.484 0.435
0.115 0.250 0.901
0.126 0.750 0.920
0.136 0.250 0.563
0.153 0.250 0.275
0.167 0.047 0.097
0.167 0.453 0.097
0.333 0.547 0.597
0.333 0.953 0.597
0.347 0.750 0.775
0.364 0.750 0.063
0.374 0.250 0.420
0.385 0.750 0.401
0.387 0.516 0.935
0.387 0.984 0.935
0.402 0.531 0.223
0.402 0.969 0.223
0.418 0.250 0.091
0.582 0.750 0.909
0.598 0.031 0.777
0.598 0.469 0.777
0.613 0.016 0.065
0.613 0.484 0.065
0.615 0.250 0.599
0.626 0.750 0.580
0.636 0.250 0.937
0.653 0.250 0.225
0.667 0.047 0.403
0.667 0.453 0.403
0.833 0.547 0.903
0.833 0.953 0.903
0.847 0.750 0.725
0.864 0.750 0.437
0.874 0.250 0.080
0.885 0.750 0.099
0.887 0.516 0.565
0.887 0.984 0.565
0.902 0.531 0.277
0.902 0.969 0.277
0.918 0.250 0.409

Rb2Cu2Mo3O12 PBE with a Hubbard U relaxed; space-group type = C2/c (15); calculated volume = 1352.90 Å³/cell
1.0
14.022 -2.581 0.000
14.022 2.581 0.000
-5.776 0.000 18.691
Rb Cu Mo O
8 8 12 48
Direct
0.000 0.500 0.000
0.122 0.516 0.727
0.204 0.796 0.750
0.484 0.878 0.773
0.500 0.000 0.500
0.516 0.122 0.227
0.796 0.204 0.250
0.878 0.484 0.273
0.160 0.685 0.548
0.164 0.637 0.953
0.315 0.840 0.952
0.363 0.836 0.547
0.637 0.164 0.453
0.685 0.160 0.048
0.836 0.363 0.047
0.840 0.315 0.452
0.068 0.565 0.389
0.149 0.624 0.136
0.218 0.748 0.427
0.252 0.782 0.073
0.376 0.851 0.364
0.435 0.932 0.111
0.565 0.068 0.889
0.624 0.149 0.636
0.748 0.218 0.927
0.782 0.252 0.573
0.851 0.376 0.864
0.932 0.435 0.611
0.015 0.901 0.017
0.032 0.618 0.138
0.034 0.133 0.370
0.042 0.067 0.632
0.061 0.466 0.419
0.067 0.042 0.132
0.082 0.328 0.698
0.099 0.985 0.483
0.108 0.173 0.546
0.133 0.034 0.870
0.173 0.108 0.046
0.289 0.407 0.883
0.328 0.082 0.198
0.337 0.498 0.216
0.349 0.416 0.056
0.381 0.510 0.474
0.382 0.968 0.362
0.407 0.289 0.383
0.416 0.349 0.556
0.450 0.543 0.127
0.457 0.550 0.373
0.466 0.061 0.919
0.490 0.619 0.026
0.498 0.337 0.716
0.502 0.663 0.284
0.510 0.381 0.974
0.534 0.939 0.081
0.543 0.450 0.627
0.550 0.457 0.873
0.584 0.651 0.444
0.593 0.711 0.617
0.618 0.032 0.638
0.619 0.490 0.526
0.651 0.584 0.944
0.663 0.502 0.784
0.672 0.918 0.802
0.711 0.593 0.117
0.827 0.892 0.954
0.867 0.966 0.130
0.892 0.827 0.454
0.901 0.015 0.517
0.918 0.672 0.302
0.933 0.958 0.868
0.939 0.534 0.581
0.958 0.933 0.368
0.966 0.867 0.630
0.968 0.382 0.862
0.985 0.099 0.983

In order of appearance, uncorrected energy = -6.314, -6.240 eV/atom.